# CaVN2 PBE-GGA relaxed
data_CaVN2
_chemical_formula_sum 'Ca16 V16 N32'
_cell_length_a 5.542
_cell_length_b 10.797
_cell_length_c 14.886
_cell_angle_alpha 90.00
_cell_angle_beta 90.00
_cell_angle_gamma 90.00
_space_group_name_H-M_alt 'P b c a'
_space_group_IT_number 61
_space_group_name_Hall '-P 2ac 2ab'
loop_
_atom_site_label
_atom_site_type_symbol
_atom_site_fract_x
_atom_site_fract_y
_atom_site_fract_z
Ca1 Ca 0.115 0.219 0.191
Ca2 Ca 0.232 0.001 0.066
V1 V 0.163 0.228 0.439
V2 V 0.219 0.516 0.813
N1 N 0.096 0.537 0.216
N2 N 0.177 0.722 0.043
N3 N 0.190 0.571 0.416
N4 N 0.238 0.182 0.833
# Corrected total energy (MP2020 scheme) = -8.12 eV/atom



# Ca2WN2 PBE-GGA relaxed
data_Ca2WN2
_chemical_formula_sum 'Ca8 W4 N8'
_cell_length_a 11.041
_cell_length_b 5.173
_cell_length_c 6.610
_cell_angle_alpha 90.00
_cell_angle_beta 117.09
_cell_angle_gamma 90.00
_space_group_name_H-M_alt 'C 1 2/m 1'
_space_group_IT_number 12
_space_group_name_Hall '-C 2y'
loop_
_atom_site_label
_atom_site_type_symbol
_atom_site_fract_x
_atom_site_fract_y
_atom_site_fract_z
Ca1 Ca 0.025 0.000 0.268
Ca2 Ca 0.178 0.500 0.129
W1 W 0.144 0.500 0.631
N1 N 0.003 0.500 0.282
N2 N 0.183 0.000 0.114
# Corrected total energy (MP2020 scheme) = -7.57 eV/atom
# Energy relative to the lowest polymorph listed for this composition = 0.0 meV/atom



Computed values of final energy (unit: Ha/atom) for the preceding records, in sequence: -0.29189 -0.27306.